1.
{"formula": "Ba2YMgFe3O8", "functional": "PBE with a Hubbard U", "state": "relaxed", "cell": [[-0.009, 1.153, -3.744], [-4.088, 0.551, 0.179], [2.007, 13.530, 4.161]], "species": ["Ba", "Ba", "Y", "Mg", "Fe", "Fe", "Fe", "O", "O", "O", "O", "O", "O", "O", "O"], "frac_coords": [[0.500, 0.500, 0.072], [0.500, 0.500, 0.806], [0.500, 0.500, 0.522], [0.500, 0.000, 0.274], [0.000, 0.000, 0.402], [0.000, 0.000, 0.937], [0.000, 0.000, 0.656], [0.000, 0.500, 0.442], [0.500, 0.000, 0.410], [0.500, 0.000, 0.969], [0.000, 0.000, 0.236], [0.000, 0.500, 0.638], [0.500, 0.000, 0.610], [0.000, 0.000, 0.787], [0.000, 0.500, 0.957]], "magnetic_moment_mub_per_atom": 0.862, "formation_enthalpy_0k_ev_per_atom": -2.30, "polymorph_energy_mev_per_atom": 47, "energy_ev_per_cell": -99.18, "mass_density_kg_m3": 4907}


2.
{"formula": "MgMnP2O7", "functional": "PBE with a Hubbard U", "state": "relaxed", "cell": [[5.405, -0.043, -0.679], [1.132, 5.285, 0.679], [0.134, -0.167, 5.010]], "species": ["Mg", "Mn", "P", "P", "O", "O", "O", "O", "O", "O", "O"], "frac_coords": [[0.499, 0.499, 0.000], [0.105, 0.105, 0.000], [0.254, 0.663, 0.564], [0.663, 0.254, 0.436], [0.547, 0.547, 0.500], [0.189, 0.436, 0.734], [0.106, 0.777, 0.299], [0.325, 0.834, 0.779], [0.777, 0.106, 0.701], [0.834, 0.325, 0.221], [0.436, 0.189, 0.266]], "magnetic_moment_mub_per_atom": 0.455, "formation_enthalpy_0k_ev_per_atom": -2.55, "polymorph_energy_mev_per_atom": 232, "energy_ev_per_cell": -77.81, "mass_density_kg_m3": 2908}


3.
{"formula": "Na3VMo3O21", "functional": "PBE with a Hubbard U", "state": "relaxed", "cell": [[9.298, 0.000, 0.000], [-1.584, 10.217, 0.000], [-0.606, -4.311, 9.489]], "species": ["Na", "Na", "Na", "Na", "Na", "Na", "V", "V", "Mo", "Mo", "Mo", "Mo", "Mo", "Mo", "O", "O", "O", "O", "O", "O", "O", "O", "O", "O", "O", "O", "O", "O", "O", "O", "O", "O", "O", "O", "O", "O", "O", "O", "O", "O", "O", "O", "O", "O", "O", "O", "O", "O", "O", "O", "O", "O", "O", "O", "O", "O"], "frac_coords": [[0.603, 0.161, 0.373], [0.397, 0.839, 0.627], [0.517, 0.168, 0.986], [0.483, 0.832, 0.014], [0.860, 0.525, 0.305], [0.140, 0.475, 0.695], [0.821, 0.034, 0.050], [0.179, 0.966, 0.950], [0.850, 0.829, 0.662], [0.150, 0.171, 0.338], [0.863, 0.647, 0.867], [0.137, 0.353, 0.133], [0.971, 0.185, 0.798], [0.029, 0.815, 0.202], [0.916, 0.693, 0.532], [0.084, 0.307, 0.468], [0.686, 0.842, 0.580], [0.314, 0.158, 0.420], [0.754, 0.726, 0.763], [0.246, 0.274, 0.237], [0.991, 0.993, 0.675], [0.009, 0.007, 0.325], [0.958, 0.176, 0.177], [0.042, 0.824, 0.823], [0.829, 0.029, 0.880], [0.171, 0.971, 0.120], [0.720, 0.561, 0.922], [0.280, 0.439, 0.078], [0.912, 0.509, 0.726], [0.088, 0.491, 0.274], [0.966, 0.319, 0.994], [0.034, 0.681, 0.006], [0.852, 0.869, 0.044], [0.148, 0.131, 0.956], [0.119, 0.289, 0.768], [0.881, 0.711, 0.232], [0.825, 0.206, 0.704], [0.175, 0.794, 0.296], [0.649, 0.057, 0.099], [0.351, 0.943, 0.901], [0.539, 0.080, 0.651], [0.461, 0.920, 0.349], [0.669, 0.887, 0.259], [0.331, 0.113, 0.741], [0.445, 0.617, 0.748], [0.555, 0.383, 0.252], [0.557, 0.209, 0.674], [0.443, 0.791, 0.326], [0.818, 0.305, 0.348], [0.182, 0.695, 0.652], [0.629, 0.760, 0.237], [0.371, 0.240, 0.763], [0.469, 0.495, 0.716], [0.531, 0.505, 0.284], [0.254, 0.646, 0.939], [0.746, 0.354, 0.061]], "magnetic_moment_mub_per_atom": 0.143, "formation_enthalpy_0k_ev_per_atom": -1.05, "polymorph_energy_mev_per_atom": 0, "energy_ev_per_cell": -328.34, "mass_density_kg_m3": 2740}


4.
{"formula": "MnHC4O4", "functional": "PBE with a Hubbard U", "state": "relaxed", "cell": [[8.284, 0.000, 0.000], [3.945, 8.022, 0.000], [2.237, 2.568, 13.801]], "species": ["Mn", "Mn", "Mn", "Mn", "Mn", "Mn", "H", "H", "H", "H", "H", "H", "C", "C", "C", "C", "C", "C", "C", "C", "C", "C", "C", "C", "C", "C", "C", "C", "C", "C", "C", "C", "C", "C", "C", "C", "O", "O", "O", "O", "O", "O", "O", "O", "O", "O", "O", "O", "O", "O", "O", "O", "O", "O", "O", "O", "O", "O", "O", "O"], "frac_coords": [[0.975, 0.894, 0.291], [0.025, 0.106, 0.709], [0.190, 0.501, 0.282], [0.810, 0.499, 0.718], [0.316, 0.761, 0.153], [0.684, 0.239, 0.847], [0.054, 0.682, 0.324], [0.946, 0.318, 0.676], [0.340, 0.554, 0.199], [0.660, 0.446, 0.801], [0.128, 0.917, 0.200], [0.872, 0.083, 0.800], [0.120, 0.880, 0.384], [0.880, 0.120, 0.616], [0.882, 0.124, 0.269], [0.118, 0.876, 0.731], [0.837, 0.906, 0.196], [0.163, 0.094, 0.804], [0.797, 0.890, 0.385], [0.203, 0.110, 0.615], [0.336, 0.468, 0.380], [0.664, 0.532, 0.620], [0.047, 0.424, 0.371], [0.953, 0.576, 0.629], [0.051, 0.528, 0.183], [0.949, 0.472, 0.817], [0.338, 0.288, 0.262], [0.662, 0.712, 0.738], [0.465, 0.727, 0.249], [0.535, 0.273, 0.751], [0.513, 0.640, 0.080], [0.487, 0.360, 0.920], [0.174, 0.786, 0.056], [0.826, 0.214, 0.944], [0.324, 0.964, 0.099], [0.676, 0.036, 0.901], [0.202, 0.877, 0.443], [0.798, 0.123, 0.557], [0.820, 0.272, 0.256], [0.180, 0.728, 0.744], [0.745, 0.921, 0.138], [0.255, 0.079, 0.862], [0.685, 0.890, 0.445], [0.315, 0.110, 0.555], [0.428, 0.436, 0.441], [0.572, 0.564, 0.559], [0.959, 0.373, 0.429], [0.041, 0.627, 0.571], [0.969, 0.533, 0.123], [0.031, 0.467, 0.877], [0.432, 0.149, 0.254], [0.568, 0.851, 0.746], [0.567, 0.704, 0.304], [0.433, 0.296, 0.696], [0.634, 0.565, 0.032], [0.366, 0.435, 0.968], [0.093, 0.806, 0.992], [0.907, 0.194, 0.008], [0.324, 0.095, 0.067], [0.676, 0.905, 0.933]], "magnetic_moment_mub_per_atom": 0.000, "formation_enthalpy_0k_ev_per_atom": -0.64, "energy_ev_per_cell": -427.61, "mass_density_kg_m3": 1825}


Please write out number 2 again, unchanged.
{"formula": "MgMnP2O7", "functional": "PBE with a Hubbard U", "state": "relaxed", "cell": [[5.405, -0.043, -0.679], [1.132, 5.285, 0.679], [0.134, -0.167, 5.010]], "species": ["Mg", "Mn", "P", "P", "O", "O", "O", "O", "O", "O", "O"], "frac_coords": [[0.499, 0.499, 0.000], [0.105, 0.105, 0.000], [0.254, 0.663, 0.564], [0.663, 0.254, 0.436], [0.547, 0.547, 0.500], [0.189, 0.436, 0.734], [0.106, 0.777, 0.299], [0.325, 0.834, 0.779], [0.777, 0.106, 0.701], [0.834, 0.325, 0.221], [0.436, 0.189, 0.266]], "magnetic_moment_mub_per_atom": 0.455, "formation_enthalpy_0k_ev_per_atom": -2.55, "polymorph_energy_mev_per_atom": 232, "energy_ev_per_cell": -77.81, "mass_density_kg_m3": 2908}